Compound: Na6Co2B4SO16
Source: the Materials Project
Functional: GGA+U
Structure: optimized geometry

a = 13.8335 Å, b = 13.8335 Å, c = 13.8335 Å
α = 90.00°, β = 90.00°, γ = 90.00°
Last column: nearest neighbours and their distance in Å.
Space group Fd-3 (No. 203, origin choice 2)
One atom of each set of equivalent atoms:
Na 0.0933 0.3750 0.3750 [48 per cell]  6 O 2.35-2.48
Co 0.0000 0.0000 0.5000 [16 per cell]  6 O 1.92
B 0.0408 0.0408 0.7092 [32 per cell]  3 O 1.38
S 0.1250 0.1250 0.1250 [8 per cell]  4 O 1.50
O 0.0210 0.2731 0.6150 [96 per cell]  1 B 1.38
O 0.0625 0.0625 0.0625 [32 per cell]  1 S 1.50

Compound: Ni2O3
Source: the Materials Project
Functional: GGA+U
Structure: optimized geometry

a = 2.9028 Å, b = 9.7066 Å, c = 14.5766 Å
α = 90.00°, β = 90.00°, γ = 90.00°
Last column: nearest neighbours and their distance in Å.
Space group Cmcm (No. 63)
One atom of each set of equivalent atoms:
Ni 0.0000 0.0940 0.1354 [8 per cell]  3 O 1.85-1.92
Ni 0.0000 0.3634 0.0467 [8 per cell]  6 O 1.90-2.08
O 0.0000 0.0000 0.0000 [4 per cell]  6 Ni 2.08-2.17
O 0.0000 0.1747 0.2500 [4 per cell]  2 Ni 1.85
O 0.0000 0.2803 0.5774 [8 per cell]  5 Ni 1.98-2.08
O 0.0000 0.4683 0.1566 [8 per cell]  3 Ni 1.90-1.92

Compound: Li9Mn2Co5O16
Source: the Materials Project
Functional: GGA+U
Structure: optimized geometry

Results
- Energy above the most stable polymorph in this dataset: 85 meV/atom

a = 4.9929 Å, b = 6.0221 Å, c = 9.8738 Å
α = 86.08°, β = 77.95°, γ = 86.19°
Last column: nearest neighbours and their distance in Å.
Space group P1 (No. 1)
One atom of each set of equivalent atoms:
Li 0.0000 0.0000 0.0000 [1 per cell]  6 O 2.10-2.26
Li 0.0006 0.7425 0.4916 [1 per cell]  6 O 2.03-2.25
Li 0.4955 0.7465 0.9977 [1 per cell]  6 O 2.02-2.25
Li 0.4972 0.2459 0.9975 [1 per cell]  6 O 2.00-2.21
Li 0.4986 0.0005 0.4885 [1 per cell]  6 O 2.12-2.23
Li 0.5006 0.4902 0.4906 [1 per cell]  6 O 2.09-2.23
Li 0.7485 0.2451 0.2446 [1 per cell]  6 O 2.03-2.26
Li 0.9934 0.4915 0.9996 [1 per cell]  6 O 2.13-2.19
Li 0.9984 0.2466 0.4915 [1 per cell]  6 O 2.00-2.20
Mn 0.2493 0.7421 0.7441 [1 per cell]  4 O 1.95-1.97
Mn 0.7472 0.9989 0.7448 [1 per cell]  4 O 1.95-1.97
Co 0.2422 0.0042 0.2494 [1 per cell]  4 O 1.79-1.97
Co 0.2474 0.2475 0.7453 [1 per cell]  4 O 1.92-1.94
Co 0.2527 0.4868 0.2401 [1 per cell]  4 O 1.79-1.96
Co 0.7483 0.4932 0.7445 [1 per cell]  4 O 1.91-1.94
Co 0.7475 0.7446 0.2444 [1 per cell]  4 O 1.91-1.92
O 0.1091 0.4789 0.6308 [1 per cell]  2 Co 1.91-1.92
O 0.1089 0.7332 0.1303 [1 per cell]  2 Co 1.92-1.96, 2 Li 2.10
O 0.1162 0.9863 0.6291 [1 per cell]  2 Mn 1.95-1.96, 2 Li 2.12-2.14
O 0.1364 0.2346 0.1305 [1 per cell]  1 Co 1.88, 2 Li 2.00-2.03
O 0.3594 0.2572 0.3584 [1 per cell]  1 Co 1.87, 2 Li 2.00-2.03
O 0.3798 0.0111 0.8604 [1 per cell]  1 Co 1.93, 1 Mn 1.95, 2 Li 2.10-2.15
O 0.3863 0.5014 0.8584 [1 per cell]  1 Co 1.92, 1 Mn 1.95, 1 Li 2.12
O 0.3873 0.7579 0.3597 [1 per cell]  2 Co 1.92-1.97, 2 Li 2.10-2.12
O 0.5877 0.4971 0.1309 [1 per cell]  1 Co 1.79
O 0.5969 0.9757 0.1360 [1 per cell]  2 Co 1.89-1.91
O 0.6102 0.2384 0.6278 [1 per cell]  1 Co 1.94, 1 Mn 1.96, 2 Li 2.09-2.12
O 0.6182 0.7295 0.6275 [1 per cell]  1 Co 1.94, 1 Mn 1.96, 1 Li 2.09
O 0.8796 0.7554 0.8620 [1 per cell]  2 Mn 1.97, 2 Li 2.10-2.14
O 0.8849 0.2610 0.8612 [1 per cell]  2 Co 1.93, 2 Li 2.12-2.14
O 0.8993 0.5142 0.3528 [1 per cell]  2 Co 1.88-1.91
O 0.9077 0.9942 0.3591 [1 per cell]  1 Co 1.79

Compound: VPO5
Source: the Materials Project
Functional: GGA+U
Structure: optimized geometry

Results
- Energy above the most stable polymorph in this dataset: 93 meV/atom

a = 12.0474 Å, b = 16.0290 Å, c = 6.9490 Å
α = 90.00°, β = 90.00°, γ = 90.00°
Last column: nearest neighbours and their distance in Å.
Space group Fdd2 (No. 43)
One atom of each set of equivalent atoms:
V 0.1105 0.3821 0.0000 [16 per cell]  1 O 1.64
P 0.0011 0.2147 0.1109 [16 per cell]  4 O 1.54-1.56
O 0.0022 0.4209 0.1111 [16 per cell]  1 V 1.64
O 0.0150 0.3426 0.7866 [16 per cell]  1 P 1.54
O 0.0209 0.1600 0.9298 [16 per cell]  1 P 1.55
O 0.1044 0.2293 0.5983 [16 per cell]  1 P 1.56
O 0.1038 0.2739 0.1208 [16 per cell]  1 P 1.56

Compound: Li32Mn11Cr5O48
Source: the Materials Project
Functional: GGA+U
Structure: optimized geometry

Results
- Energy above the most stable polymorph in this dataset: 12 meV/atom

a = 5.0070 Å, b = 5.0133 Å, c = 38.3910 Å
α = 87.74°, β = 88.96°, γ = 60.12°
Last column: nearest neighbours and their distance in Å.
Space group P1 (No. 1)
One atom of each set of equivalent atoms:
Li 0.0000 0.0000 0.0000 [1 per cell]  6 O 2.07-2.13
Li 0.9996 0.0561 0.8125 [1 per cell]  6 O 2.02-2.19
Li 0.9999 0.2459 0.2500 [1 per cell]  6 O 2.07-2.11
Li 0.9996 0.3058 0.0625 [1 per cell]  6 O 2.03-2.20
Li 0.0000 0.4326 0.6875 [1 per cell]  6 O 2.03-2.19
Li 0.9996 0.7491 0.7500 [1 per cell]  6 O 2.07-2.12
Li 0.0008 0.9341 0.1876 [1 per cell]  6 O 2.03-2.19
Li 0.0015 0.5572 0.3124 [1 per cell]  6 O 2.03-2.20
Li 0.0018 0.6802 0.9372 [1 per cell]  6 O 2.03-2.21
Li 0.3165 0.0240 0.9373 [1 per cell]  6 O 2.07-2.20
Li 0.3172 0.7701 0.6875 [1 per cell]  6 O 2.07-2.21
Li 0.3181 0.2734 0.1876 [1 per cell]  6 O 2.06-2.20
Li 0.3181 0.9002 0.3124 [1 per cell]  6 O 2.07-2.20
Li 0.3208 0.3995 0.8124 [1 per cell]  6 O 2.06-2.20
Li 0.3214 0.6493 0.0624 [1 per cell]  6 O 2.06-2.20
Li 0.3219 0.1518 0.5623 [1 per cell]  6 O 2.06-2.22
Li 0.3226 0.5202 0.4375 [1 per cell]  6 O 2.06-2.20
Li 0.6701 0.9743 0.0627 [1 per cell]  6 O 2.05-2.19
Li 0.6715 0.7234 0.8126 [1 per cell]  6 O 2.06-2.19
Li 0.6731 0.2220 0.3125 [1 per cell]  6 O 2.06-2.19
Li 0.6726 0.5966 0.1876 [1 per cell]  6 O 2.06-2.19
Li 0.6744 0.3489 0.9372 [1 per cell]  6 O 2.06-2.23
Li 0.6747 0.8469 0.4373 [1 per cell]  6 O 2.06-2.20
Li 0.6761 0.0996 0.6875 [1 per cell]  6 O 2.06-2.23
Li 0.6782 0.4657 0.5626 [1 per cell]  6 O 2.06-2.22
Li 0.9931 0.1244 0.6250 [1 per cell]  6 O 2.07-2.12
Li 0.9933 0.8118 0.5624 [1 per cell]  6 O 2.03-2.20
Li 0.9948 0.1875 0.4374 [1 per cell]  6 O 2.03-2.20
Li 0.9945 0.4974 0.4999 [1 per cell]  6 O 2.07-2.12
Li 0.9974 0.6222 0.1250 [1 per cell]  6 O 2.08-2.10
Li 0.9975 0.3722 0.8749 [1 per cell]  6 O 2.08-2.10
Li 0.9975 0.8722 0.3750 [1 per cell]  6 O 2.08-2.10
Mn 0.3299 0.4557 0.6251 [1 per cell]  6 O 1.93-1.94
Mn 0.3310 0.0801 0.7500 [1 per cell]  6 O 1.93-1.95
Mn 0.3310 0.3294 0.0002 [1 per cell]  6 O 1.92-1.95
Mn 0.3314 0.9551 0.1250 [1 per cell]  6 O 1.93-1.95
Mn 0.3318 0.2052 0.3749 [1 per cell]  6 O 1.93-1.95
Mn 0.3317 0.7052 0.8749 [1 per cell]  6 O 1.93-1.95
Mn 0.3329 0.5791 0.2499 [1 per cell]  6 O 1.92-1.95
Mn 0.6630 0.0394 0.8750 [1 per cell]  6 O 1.93-1.95
Mn 0.6628 0.1652 0.4998 [1 per cell]  6 O 1.93-1.95
Mn 0.6627 0.2896 0.1250 [1 per cell]  6 O 1.93-1.95
Mn 0.6628 0.5395 0.3749 [1 per cell]  6 O 1.93-1.95
Cr 0.3283 0.8279 0.4998 [1 per cell]  6 O 1.91-1.98
Cr 0.6578 0.7910 0.6250 [1 per cell]  6 O 1.91-1.97
Cr 0.6662 0.4180 0.7500 [1 per cell]  6 O 1.90-1.98
Cr 0.6656 0.6685 0.0001 [1 per cell]  6 O 1.90-1.99
Cr 0.6673 0.9152 0.2500 [1 per cell]  6 O 1.92-1.98
O 0.0020 0.6100 0.2212 [1 per cell]  1 Mn 1.94, 1 Cr 1.97, 4 Li 2.03-2.14
O 0.0036 0.1083 0.7212 [1 per cell]  1 Mn 1.94, 1 Cr 1.98, 4 Li 2.03-2.13
O 0.0043 0.3581 0.9711 [1 per cell]  1 Mn 1.94, 1 Cr 1.99, 4 Li 2.03-2.14
O 0.3491 0.9954 0.0284 [1 per cell]  1 Mn 1.92, 1 Cr 1.97, 3 Li 2.05-2.14
O 0.3495 0.2446 0.2783 [1 per cell]  1 Mn 1.93, 1 Cr 1.98, 3 Li 2.06-2.14
O 0.3503 0.7435 0.7783 [1 per cell]  1 Mn 1.93, 1 Cr 1.96, 3 Li 2.06-2.14
O 0.3511 0.8976 0.2218 [1 per cell]  1 Mn 1.93, 1 Cr 1.97, 3 Li 2.06-2.14
O 0.3541 0.0243 0.8470 [1 per cell]  2 Mn 1.93-1.94, 2 Li 2.06-2.09
O 0.3543 0.2740 0.0973 [1 per cell]  2 Mn 1.93-1.94, 2 Li 2.06-2.08
O 0.3551 0.3971 0.7222 [1 per cell]  1 Mn 1.93, 1 Cr 1.95, 2 Li 2.07-2.09
O 0.3548 0.5238 0.3470 [1 per cell]  2 Mn 1.93-1.94, 2 Li 2.07-2.09
O 0.3553 0.6130 0.1529 [1 per cell]  2 Mn 1.93-1.94, 2 Li 2.06-2.08
O 0.3555 0.8631 0.4028 [1 per cell]  2 Mn 1.93-1.94, 2 Li 2.06-2.08
O 0.3556 0.3629 0.9029 [1 per cell]  2 Mn 1.93-1.94, 3 Li 2.06-2.16
O 0.3564 0.6463 0.9721 [1 per cell]  1 Mn 1.94, 1 Cr 1.95, 2 Li 2.06-2.10
O 0.3571 0.1458 0.4718 [1 per cell]  1 Mn 1.93, 1 Cr 1.95, 2 Li 2.06-2.11
O 0.3579 0.4914 0.5277 [1 per cell]  1 Cr 1.91, 1 Mn 1.94, 2 Li 2.06-2.11
O 0.3586 0.7706 0.5970 [1 per cell]  1 Cr 1.91, 1 Mn 1.94, 2 Li 2.07-2.12
O 0.3598 0.1109 0.6529 [1 per cell]  1 Cr 1.91, 1 Mn 1.94, 2 Li 2.06-2.11
O 0.6378 0.0030 0.9722 [1 per cell]  1 Cr 1.90, 1 Mn 1.94, 2 Li 2.07-2.12
O 0.6377 0.2562 0.2220 [1 per cell]  1 Cr 1.92, 1 Mn 1.93, 2 Li 2.06-2.10
O 0.6382 0.3467 0.0280 [1 per cell]  1 Mn 1.93, 1 Cr 1.96, 2 Li 2.06-2.10
O 0.6380 0.7521 0.7221 [1 per cell]  1 Cr 1.90, 1 Mn 1.94, 2 Li 2.07-2.11
O 0.6387 0.0965 0.7779 [1 per cell]  1 Mn 1.93, 1 Cr 1.96, 2 Li 2.07-2.09
O 0.6392 0.1369 0.5968 [1 per cell]  1 Mn 1.93, 1 Cr 1.97, 3 Li 2.06-2.15
O 0.6394 0.4665 0.6533 [1 per cell]  1 Mn 1.93, 1 Cr 1.96, 3 Li 2.07-2.15
O 0.6387 0.5956 0.2780 [1 per cell]  1 Mn 1.92, 1 Cr 1.96, 2 Li 2.07-2.10
O 0.6394 0.6317 0.0972 [1 per cell]  2 Mn 1.93-1.94, 2 Li 2.06-2.08
O 0.6391 0.8817 0.3469 [1 per cell]  2 Mn 1.93-1.94, 2 Li 2.07-2.09
O 0.6400 0.2208 0.4028 [1 per cell]  2 Mn 1.93-1.94, 2 Li 2.06-2.09
O 0.6398 0.3815 0.8469 [1 per cell]  2 Mn 1.94, 2 Li 2.06-2.08
O 0.6397 0.7210 0.9030 [1 per cell]  2 Mn 1.93-1.94, 2 Li 2.07-2.09
O 0.6396 0.9712 0.1531 [1 per cell]  2 Mn 1.93-1.94, 2 Li 2.07-2.09
O 0.6407 0.8477 0.5280 [1 per cell]  1 Mn 1.94, 1 Cr 1.96, 3 Li 2.06-2.16
O 0.6452 0.5003 0.4716 [1 per cell]  1 Mn 1.93, 1 Cr 1.97, 3 Li 2.06-2.14
O 0.9928 0.1348 0.5286 [1 per cell]  1 Mn 1.94, 1 Cr 1.98, 4 Li 2.03-2.15
O 0.9949 0.3785 0.7782 [1 per cell]  1 Cr 1.91, 1 Mn 1.95, 2 Li 2.04-2.12
O 0.9945 0.6282 0.0284 [1 per cell]  1 Cr 1.91, 1 Mn 1.95, 2 Li 2.03-2.13
O 0.9966 0.2395 0.3466 [1 per cell]  2 Mn 1.95, 4 Li 2.03-2.14
O 0.9972 0.4910 0.5966 [1 per cell]  1 Mn 1.94, 1 Cr 1.97, 4 Li 2.03-2.15
O 0.9967 0.7386 0.8465 [1 per cell]  2 Mn 1.95, 4 Li 2.02-2.14
O 0.9966 0.9890 0.0967 [1 per cell]  2 Mn 1.95, 4 Li 2.03-2.15
O 0.9978 0.0050 0.9034 [1 per cell]  2 Mn 1.95, 4 Li 2.04-2.15
O 0.9976 0.2555 0.1534 [1 per cell]  2 Mn 1.95, 4 Li 2.03-2.15
O 0.9981 0.5053 0.4033 [1 per cell]  2 Mn 1.95, 4 Li 2.03-2.14
O 0.9978 0.8658 0.4714 [1 per cell]  1 Cr 1.92, 1 Mn 1.95, 3 Li 2.03-2.14
O 0.9987 0.7535 0.6535 [1 per cell]  1 Mn 1.94, 1 Cr 1.97, 4 Li 2.03-2.15
O 0.9994 0.8789 0.2786 [1 per cell]  1 Cr 1.94, 1 Mn 1.95, 4 Li 2.03-2.15

For each record above, in turn, the calculated E_form values are -2.15 -0.76 -1.78 -2.41 -2.18 eV/atom.
For each record above, in turn, the calculated total DFT energy (no corrections) values are -6.218 -4.615 -5.770 -7.279 -6.207 eV/atom.